Record 1
Here is an optimized crystal structure of NaZnP3O9 from the Materials Project. Energies are from GGA-PBE.

Properties
SG	Pa-3, No. 205

a = 14.4602 Å, b = 14.4602 Å, c = 14.4602 Å
α = 90.00°, β = 90.00°, γ = 90.00°
Atoms (fractional coordinates):
Na1 0.0000 0.0000 0.0000
Na2 0.0000 0.0000 0.5000
Na3 0.0000 0.5000 0.0000
Na4 0.0000 0.5000 0.5000
Na5 0.2485 0.2485 0.2485
Na6 0.2485 0.2515 0.7485
Na7 0.2515 0.7485 0.2485
Na8 0.2515 0.7515 0.7485
Na9 0.5000 0.0000 0.0000
Na10 0.5000 0.0000 0.5000
Na11 0.5000 0.5000 0.0000
Na12 0.5000 0.5000 0.5000
Na13 0.7485 0.2485 0.2515
Na14 0.7485 0.2515 0.7515
Na15 0.7515 0.7485 0.2515
Na16 0.7515 0.7515 0.7515
Zn1 0.1218 0.1218 0.1218
Zn2 0.1218 0.3782 0.6218
Zn3 0.1311 0.6311 0.8689
Zn4 0.1311 0.8689 0.3689
Zn5 0.3689 0.1311 0.8689
Zn6 0.3689 0.3689 0.3689
Zn7 0.3782 0.6218 0.1218
Zn8 0.3782 0.8782 0.6218
Zn9 0.6218 0.1218 0.3782
Zn10 0.6218 0.3782 0.8782
Zn11 0.6311 0.6311 0.6311
Zn12 0.6311 0.8689 0.1311
Zn13 0.8689 0.1311 0.6311
Zn14 0.8689 0.3689 0.1311
Zn15 0.8782 0.6218 0.3782
Zn16 0.8782 0.8782 0.8782
P1 0.0119 0.2297 0.7754
P2 0.0119 0.2703 0.2754
P3 0.0216 0.0258 0.7578
P4 0.0216 0.4742 0.2578
P5 0.0258 0.7422 0.5216
P6 0.0258 0.7578 0.0216
P7 0.2246 0.5119 0.2703
P8 0.2246 0.9881 0.7703
P9 0.2297 0.7246 0.5119
P10 0.2297 0.7754 0.0119
P11 0.2422 0.5216 0.4742
P12 0.2422 0.9784 0.9742
P13 0.2578 0.0216 0.4742
P14 0.2578 0.4784 0.9742
P15 0.2703 0.2246 0.5119
P16 0.2703 0.2754 0.0119
P17 0.2754 0.0119 0.2703
P18 0.2754 0.4881 0.7703
P19 0.4742 0.2422 0.5216
P20 0.4742 0.2578 0.0216
P21 0.4784 0.5258 0.7578
P22 0.4784 0.9742 0.2578
P23 0.4881 0.7297 0.7754
P24 0.4881 0.7703 0.2754
P25 0.5119 0.2297 0.7246
P26 0.5119 0.2703 0.2246
P27 0.5216 0.0258 0.7422
P28 0.5216 0.4742 0.2422
P29 0.5258 0.7422 0.9784
P30 0.5258 0.7578 0.4784
P31 0.7246 0.5119 0.2297
P32 0.7246 0.9881 0.7297
P33 0.7297 0.7246 0.9881
P34 0.7297 0.7754 0.4881
P35 0.7422 0.5216 0.0258
P36 0.7422 0.9784 0.5258
P37 0.7578 0.0216 0.0258
P38 0.7578 0.4784 0.5258
P39 0.7703 0.2246 0.9881
P40 0.7703 0.2754 0.4881
P41 0.7754 0.0119 0.2297
P42 0.7754 0.4881 0.7297
P43 0.9742 0.2422 0.9784
P44 0.9742 0.2578 0.4784
P45 0.9784 0.5258 0.7422
P46 0.9784 0.9742 0.2422
P47 0.9881 0.7297 0.7246
P48 0.9881 0.7703 0.2246
O1 0.0135 0.2274 0.3784
O2 0.0135 0.2726 0.8784
O3 0.0166 0.0274 0.1620
O4 0.0166 0.4726 0.6620
O5 0.0274 0.1620 0.0166
O6 0.0274 0.3380 0.5166
O7 0.0323 0.6695 0.9672
O8 0.0323 0.8305 0.4672
O9 0.0328 0.5323 0.8305
O10 0.0328 0.9677 0.3305
O11 0.0499 0.1266 0.7968
O12 0.0499 0.3734 0.2968
O13 0.0851 0.2194 0.2233
O14 0.0851 0.2806 0.7233
O15 0.0854 0.7247 0.7620
O16 0.0854 0.7753 0.2620
O17 0.1216 0.5135 0.2274
O18 0.1216 0.9865 0.7274
O19 0.1266 0.7032 0.5499
O20 0.1266 0.7968 0.0499
O21 0.1620 0.0166 0.0274
O22 0.1620 0.4834 0.5274
O23 0.1695 0.5328 0.9677
O24 0.1695 0.9672 0.4677
O25 0.2032 0.5499 0.3734
O26 0.2032 0.9501 0.8734
O27 0.2194 0.2233 0.0851
O28 0.2194 0.2767 0.5851
O29 0.2233 0.0851 0.2194
O30 0.2233 0.4149 0.7194
O31 0.2247 0.7380 0.9146
O32 0.2247 0.7620 0.4146
O33 0.2274 0.1216 0.5135
O34 0.2274 0.3784 0.0135
O35 0.2380 0.5854 0.7753
O36 0.2380 0.9146 0.2753
O37 0.2620 0.0854 0.7753
O38 0.2620 0.4146 0.2753
O39 0.2726 0.6216 0.5135
O40 0.2726 0.8784 0.0135
O41 0.2753 0.2380 0.9146
O42 0.2753 0.2620 0.4146
O43 0.2767 0.5851 0.2194
O44 0.2767 0.9149 0.7194
O45 0.2806 0.7233 0.0851
O46 0.2806 0.7767 0.5851
O47 0.2968 0.0499 0.3734
O48 0.2968 0.4501 0.8734
O49 0.3305 0.0328 0.9677
O50 0.3305 0.4672 0.4677
O51 0.3380 0.5166 0.0274
O52 0.3380 0.9834 0.5274
O53 0.3734 0.2032 0.5499
O54 0.3734 0.2968 0.0499
O55 0.3784 0.0135 0.2274
O56 0.3784 0.4865 0.7274
O57 0.4146 0.2247 0.7620
O58 0.4146 0.2753 0.2620
O59 0.4149 0.7194 0.2233
O60 0.4149 0.7806 0.7233
O61 0.4501 0.6266 0.7968
O62 0.4501 0.8734 0.2968
O63 0.4672 0.0323 0.8305
O64 0.4672 0.4677 0.3305
O65 0.4677 0.1695 0.9672
O66 0.4677 0.3305 0.4672
O67 0.4726 0.6620 0.0166
O68 0.4726 0.8380 0.5166
O69 0.4834 0.5274 0.1620
O70 0.4834 0.9726 0.6620
O71 0.4865 0.7274 0.3784
O72 0.4865 0.7726 0.8784
O73 0.5135 0.2274 0.1216
O74 0.5135 0.2726 0.6216
O75 0.5166 0.0274 0.3380
O76 0.5166 0.4726 0.8380
O77 0.5274 0.1620 0.4834
O78 0.5274 0.3380 0.9834
O79 0.5323 0.6695 0.5328
O80 0.5323 0.8305 0.0328
O81 0.5328 0.5323 0.6695
O82 0.5328 0.9677 0.1695
O83 0.5499 0.1266 0.7032
O84 0.5499 0.3734 0.2032
O85 0.5851 0.2194 0.2767
O86 0.5851 0.2806 0.7767
O87 0.5854 0.7247 0.7380
O88 0.5854 0.7753 0.2380
O89 0.6216 0.5135 0.2726
O90 0.6216 0.9865 0.7726
O91 0.6266 0.7032 0.9501
O92 0.6266 0.7968 0.4501
O93 0.6620 0.0166 0.4726
O94 0.6620 0.4834 0.9726
O95 0.6695 0.5328 0.5323
O96 0.6695 0.9672 0.0323
O97 0.7032 0.5499 0.1266
O98 0.7032 0.9501 0.6266
O99 0.7194 0.2233 0.4149
O100 0.7194 0.2767 0.9149
O101 0.7233 0.0851 0.2806
O102 0.7233 0.4149 0.7806
O103 0.7247 0.7380 0.5854
O104 0.7247 0.7620 0.0854
O105 0.7274 0.1216 0.9865
O106 0.7274 0.3784 0.4865
O107 0.7380 0.5854 0.7247
O108 0.7380 0.9146 0.2247
O109 0.7620 0.0854 0.7247
O110 0.7620 0.4146 0.2247
O111 0.7726 0.6216 0.9865
O112 0.7726 0.8784 0.4865
O113 0.7753 0.2380 0.5854
O114 0.7753 0.2620 0.0854
O115 0.7767 0.5851 0.2806
O116 0.7767 0.9149 0.7806
O117 0.7806 0.7233 0.4149
O118 0.7806 0.7767 0.9149
O119 0.7968 0.0499 0.1266
O120 0.7968 0.4501 0.6266
O121 0.8305 0.0328 0.5323
O122 0.8305 0.4672 0.0323
O123 0.8380 0.5166 0.4726
O124 0.8380 0.9834 0.9726
O125 0.8734 0.2032 0.9501
O126 0.8734 0.2968 0.4501
O127 0.8784 0.0135 0.2726
O128 0.8784 0.4865 0.7726
O129 0.9146 0.2247 0.7380
O130 0.9146 0.2753 0.2380
O131 0.9149 0.7194 0.2767
O132 0.9149 0.7806 0.7767
O133 0.9501 0.6266 0.7032
O134 0.9501 0.8734 0.2032
O135 0.9672 0.0323 0.6695
O136 0.9672 0.4677 0.1695
O137 0.9677 0.1695 0.5328
O138 0.9677 0.3305 0.0328
O139 0.9726 0.6620 0.4834
O140 0.9726 0.8380 0.9834
O141 0.9834 0.5274 0.3380
O142 0.9834 0.9726 0.8380
O143 0.9865 0.7274 0.1216
O144 0.9865 0.7726 0.6216

Record 2
Here is an optimized crystal structure of NaZn2P3O19 from the Materials Project. Energies are from GGA-PBE.

Properties
SG	P-1, No. 2

a = 8.4511 Å, b = 10.4343 Å, c = 10.8344 Å
α = 99.49°, β = 101.15°, γ = 109.83°
Atoms (fractional coordinates):
Na1 0.1233 0.0017 0.3470
Na2 0.8767 0.9983 0.6530
Zn1 0.0000 0.5000 0.0000
Zn2 0.2584 0.4924 0.5475
Zn3 0.5000 0.0000 0.5000
Zn4 0.7416 0.5076 0.4525
P1 0.0056 0.5548 0.7129
P2 0.2346 0.7168 0.2725
P3 0.4485 0.2871 0.5624
P4 0.5515 0.7129 0.4376
P5 0.7654 0.2832 0.7275
P6 0.9944 0.4452 0.2871
O1 0.0178 0.5978 0.8564
O2 0.0994 0.6205 0.3360
O3 0.1040 0.0407 0.1091
O4 0.1060 0.9092 0.6113
O5 0.1087 0.3882 0.3708
O6 0.1370 0.9766 0.0177
O7 0.1616 0.6889 0.1285
O8 0.1811 0.5794 0.6836
O9 0.2077 0.1067 0.7774
O10 0.2432 0.8966 0.6573
O11 0.2827 0.8675 0.3496
O12 0.2910 0.4670 0.0257
O13 0.3111 0.3356 0.6011
O14 0.3206 0.3565 0.0448
O15 0.3351 0.0757 0.8086
O16 0.3708 0.1235 0.5127
O17 0.4041 0.6779 0.2990
O18 0.4629 0.6451 0.5322
O19 0.4789 0.3738 0.0942
O20 0.5211 0.6262 0.9058
O21 0.5371 0.3549 0.4678
O22 0.5959 0.3221 0.7010
O23 0.6292 0.8765 0.4873
O24 0.6649 0.9243 0.1914
O25 0.6794 0.6435 0.9552
O26 0.6889 0.6644 0.3989
O27 0.7090 0.5330 0.9743
O28 0.7173 0.1325 0.6504
O29 0.7568 0.1034 0.3427
O30 0.7923 0.8933 0.2226
O31 0.8189 0.4206 0.3164
O32 0.8384 0.3111 0.8715
O33 0.8630 0.0234 0.9823
O34 0.8913 0.6118 0.6292
O35 0.8940 0.0908 0.3887
O36 0.8960 0.9593 0.8909
O37 0.9006 0.3795 0.6640
O38 0.9822 0.4022 0.1436

Record 3
Here is an optimized crystal structure of Na2Zn2P2O11 from the Materials Project. Energies are from GGA-PBE.

Properties
SG	P6_1, No. 169

a = 10.6453 Å, b = 10.6453 Å, c = 15.1542 Å
α = 90.00°, β = 90.00°, γ = 120.00°
Atoms (fractional coordinates):
Na1 0.0277 0.1959 0.0000
Na2 0.1682 0.9723 0.6667
Na3 0.1959 0.1682 0.8333
Na4 0.3202 0.6660 0.2353
Na5 0.3340 0.6542 0.5686
Na6 0.3458 0.6798 0.9019
Na7 0.6542 0.3202 0.4019
Na8 0.6660 0.3458 0.0686
Na9 0.6798 0.3340 0.7353
Na10 0.8041 0.8318 0.3333
Na11 0.8318 0.0277 0.1667
Na12 0.9723 0.8041 0.5000
Zn1 0.0094 0.5002 0.3972
Zn2 0.1528 0.8461 0.2345
Zn3 0.1539 0.3067 0.5678
Zn4 0.3067 0.1528 0.4012
Zn5 0.4908 0.9906 0.0639
Zn6 0.5002 0.4908 0.2306
Zn7 0.4998 0.5092 0.7306
Zn8 0.5092 0.0094 0.5639
Zn9 0.6933 0.8472 0.9012
Zn10 0.8461 0.6933 0.0678
Zn11 0.8472 0.1539 0.7345
Zn12 0.9906 0.4998 0.8972
P1 0.1695 0.7594 0.0414
P2 0.1697 0.4136 0.7589
P3 0.2406 0.4101 0.3747
P4 0.2439 0.8303 0.4256
P5 0.4101 0.1695 0.2080
P6 0.4136 0.2439 0.5923
P7 0.5864 0.7561 0.0923
P8 0.5899 0.8305 0.7080
P9 0.7561 0.1697 0.9256
P10 0.7594 0.5899 0.8747
P11 0.8303 0.5864 0.2589
P12 0.8305 0.2406 0.5414
O1 0.0204 0.9184 0.8052
O2 0.0482 0.2522 0.7761
O3 0.0513 0.8076 0.0334
O4 0.0644 0.3985 0.1445
O5 0.0644 0.6851 0.6614
O6 0.0816 0.1020 0.1386
O7 0.1020 0.0204 0.9719
O8 0.1081 0.6886 0.4592
O9 0.1202 0.6148 0.9935
O10 0.1252 0.4383 0.3322
O11 0.1437 0.5210 0.8135
O12 0.1816 0.4523 0.6598
O13 0.1914 0.7410 0.1411
O14 0.1924 0.2437 0.3667
O15 0.2040 0.9518 0.4428
O16 0.2437 0.0513 0.2000
O17 0.2522 0.2040 0.6094
O18 0.2590 0.4505 0.4744
O19 0.2707 0.8184 0.3265
O20 0.3114 0.4195 0.7926
O21 0.3131 0.8748 0.9988
O22 0.3149 0.3793 0.9948
O23 0.3341 0.9356 0.8112
O24 0.3774 0.8563 0.4802
O25 0.3793 0.0644 0.8281
O26 0.3852 0.5054 0.3268
O27 0.3985 0.3341 0.9778
O28 0.4195 0.1081 0.6259
O29 0.4383 0.3131 0.1655
O30 0.4505 0.1914 0.3077
O31 0.4523 0.2707 0.4932
O32 0.4790 0.6226 0.1469
O33 0.4946 0.8798 0.6602
O34 0.5054 0.1202 0.1602
O35 0.5210 0.3774 0.6469
O36 0.5477 0.7293 0.9932
O37 0.5495 0.8086 0.8077
O38 0.5617 0.6869 0.6655
O39 0.5805 0.8919 0.1259
O40 0.6015 0.6659 0.4778
O41 0.6148 0.4946 0.8268
O42 0.6207 0.9356 0.3281
O43 0.6226 0.1437 0.9802
O44 0.6659 0.0644 0.3112
O45 0.6851 0.6207 0.4948
O46 0.6869 0.1252 0.4988
O47 0.6886 0.5805 0.2926
O48 0.7293 0.1816 0.8265
O49 0.7410 0.5495 0.9744
O50 0.7478 0.7960 0.1094
O51 0.7563 0.9487 0.7000
O52 0.7960 0.0482 0.9428
O53 0.8076 0.7563 0.8667
O54 0.8086 0.2590 0.6411
O55 0.8184 0.5477 0.1598
O56 0.8563 0.4790 0.3135
O57 0.8748 0.5617 0.8322
O58 0.8798 0.3852 0.4935
O59 0.8919 0.3114 0.9592
O60 0.8980 0.9796 0.4719
O61 0.9184 0.8980 0.6386
O62 0.9356 0.3149 0.1614
O63 0.9356 0.6015 0.6445
O64 0.9487 0.1924 0.5334
O65 0.9518 0.7478 0.2761
O66 0.9796 0.0816 0.3052

Number 1: final energy -1485.85 eV per cell, total magnetization 0.0 μB/cell. Number 2: final energy -288.87 eV per cell, total magnetization 6.0 μB/cell. Number 3: final energy -577.11 eV per cell, total magnetization 24.0 μB/cell.